[1]
Below is crystalline WI3O at its relaxed geometry, with properties calculated at the GGA+U level.

Calculated values
final energy	-4.05	eV per atom
crystal system	tetragonal
formation enthalpy at 0 K	-0.583	eV/atom
total energy after the MP2020 corrections	-25.4	eV/f.u.
theoretical density	5.10	g/cm3

```
data_WI3O
_chemical_formula_sum 'W4 I12 O4'
_cell_length_a 13.987
_cell_length_b 13.987
_cell_length_c 3.868
_cell_angle_alpha 90.00
_cell_angle_beta 90.00
_cell_angle_gamma 90.00
_space_group_name_H-M_alt 'P 42/m n m'
_space_group_IT_number 136
_space_group_name_Hall '-P 4n 2n'
loop_
_atom_site_label
_atom_site_fract_x
_atom_site_fract_y
_atom_site_fract_z
_atom_site_occupancy
W1 0.107 0.107 0.000 1
I1 0.099 0.301 0.000 1
I2 0.099 0.901 0.000 1
O1 0.102 0.102 0.500 1
```


[2]
Below is crystalline K2LiInMo3O12 at its relaxed geometry, with properties calculated at the GGA+U level.

Calculated values
final energy	-6.40	eV per atom
crystal system	monoclinic
formation enthalpy at 0 K	-2.143	eV/atom
total energy after the MP2020 corrections	-139.5	eV/f.u.
theoretical density	3.39	g/cm3

```
data_K2LiInMo3O12
_chemical_formula_sum 'K4 Li2 In2 Mo6 O24'
_cell_length_a 7.152
_cell_length_b 9.433
_cell_length_c 10.353
_cell_angle_alpha 90.00
_cell_angle_beta 107.49
_cell_angle_gamma 90.00
_space_group_name_H-M_alt 'P 1 21 1'
_space_group_IT_number 4
_space_group_name_Hall 'P 2yb'
loop_
_atom_site_label
_atom_site_fract_x
_atom_site_fract_y
_atom_site_fract_z
_atom_site_occupancy
K1 0.046 0.000 0.080 1
K2 0.340 0.496 0.703 1
Li1 0.450 0.844 0.629 1
In1 0.222 0.089 0.761 1
Mo1 0.072 0.278 0.421 1
Mo2 0.304 0.665 0.312 1
Mo3 0.452 0.780 0.958 1
O1 0.029 0.119 0.327 1
O2 0.064 0.600 0.209 1
O3 0.123 0.243 0.601 1
O4 0.141 0.897 0.641 1
O5 0.284 0.364 0.403 1
O6 0.286 0.647 0.969 1
O7 0.324 0.686 0.486 1
O8 0.329 0.273 0.893 1
O9 0.330 0.954 0.942 1
O10 0.332 0.836 0.251 1
O11 0.476 0.243 0.188 1
O12 0.490 0.058 0.706 1
```


- Among the records above, which one has the lowest final energy?
  K2LiInMo3O12